Record 1
Below is a relaxed Lu3Cu4Sn4 crystal, with properties calculated at the PBE level.

```
Lu3Cu4Sn4
1.0
7.981 -2.208 0.000
7.981 2.208 0.000
-2.856 0.000 6.274
Lu Cu Sn
3 4 4
direct
0.000 0.000 0.000 Lu
0.129 0.129 0.645 Lu
0.871 0.871 0.355 Lu
0.313 0.313 0.616 Cu
0.343 0.343 0.024 Cu
0.657 0.657 0.976 Cu
0.687 0.687 0.384 Cu
0.217 0.217 0.195 Sn
0.488 0.488 0.692 Sn
0.512 0.512 0.308 Sn
0.783 0.783 0.805 Sn
```

## Properties
Calculated volume (Å³/atom): 20.10
Energy relative to the elements (eV/atom): -0.446
Crystal system: monoclinic
M_tot (Bohr magnetons per cell): 0.0

***

Record 2
Below is a relaxed LuCuSn crystal, with properties calculated at the PBE level.

```
LuCuSn
1.0
4.519 0.000 0.000
-2.259 3.913 0.000
0.000 0.000 7.553
Lu Cu Sn
2 2 2
direct
0.000 0.000 0.203 Lu
0.000 0.000 0.797 Lu
0.333 0.667 0.021 Cu
0.667 0.333 0.979 Cu
0.333 0.667 0.420 Sn
0.667 0.333 0.580 Sn
```

## Properties
Calculated volume (Å³/atom): 22.26
Energy relative to the elements (eV/atom): -0.201
Crystal system: trigonal
M_tot (Bohr magnetons per cell): 0.0

***

Record 3
Below is a relaxed LuCuSn crystal, with properties calculated at the PBE level.

```
LuCuSn
1.0
4.493 0.000 0.000
-2.247 3.891 0.000
0.000 0.000 7.156
Lu Cu Sn
2 2 2
direct
0.000 0.000 0.000 Lu
0.000 0.000 0.500 Lu
0.333 0.667 0.250 Cu
0.667 0.333 0.750 Cu
0.333 0.667 0.750 Sn
0.667 0.333 0.250 Sn
```

## Properties
Calculated volume (Å³/atom): 20.85
Energy relative to the elements (eV/atom): -0.501
Crystal system: hexagonal
M_tot (Bohr magnetons per cell): 0.0

***

Record 4
Below is a relaxed Lu2CuTc crystal, with properties calculated at the PBE level.

```
Lu2CuTc
1.0
0.000 3.342 3.342
3.342 0.000 3.342
3.342 3.342 0.000
Lu Cu Tc
2 1 1
direct
0.250 0.250 0.250 Lu
0.750 0.750 0.750 Lu
0.000 0.000 0.000 Cu
0.500 0.500 0.500 Tc
```

## Properties
Calculated volume (Å³/atom): 18.66
Energy relative to the elements (eV/atom): -0.185
Crystal system: cubic
M_tot (Bohr magnetons per cell): 0.0

***

Record 5
Below is a relaxed Lu6CuTe2 crystal, with properties calculated at the PBE level.

```
Lu6CuTe2
1.0
21.145 0.000 0.000
0.000 3.944 0.000
0.000 0.000 11.317
Lu Cu Te
24 4 8
direct
0.006 0.250 0.112 Lu
0.024 0.750 0.380 Lu
0.109 0.250 0.809 Lu
0.141 0.750 0.060 Lu
0.155 0.250 0.530 Lu
0.232 0.750 0.737 Lu
0.268 0.250 0.237 Lu
0.345 0.750 0.030 Lu
0.359 0.250 0.560 Lu
0.391 0.750 0.309 Lu
0.476 0.250 0.880 Lu
0.494 0.750 0.612 Lu
0.506 0.250 0.388 Lu
0.524 0.750 0.120 Lu
0.609 0.250 0.691 Lu
0.641 0.750 0.440 Lu
0.655 0.250 0.970 Lu
0.732 0.750 0.763 Lu
0.768 0.250 0.263 Lu
0.845 0.750 0.470 Lu
0.859 0.250 0.940 Lu
0.891 0.750 0.191 Lu
0.976 0.250 0.620 Lu
0.994 0.750 0.888 Lu
0.077 0.750 0.636 Cu
0.423 0.250 0.136 Cu
0.577 0.750 0.864 Cu
0.923 0.250 0.364 Cu
0.126 0.250 0.267 Te
0.239 0.250 0.954 Te
0.261 0.750 0.454 Te
0.374 0.750 0.767 Te
0.626 0.250 0.233 Te
0.739 0.250 0.546 Te
0.761 0.750 0.046 Te
0.874 0.750 0.733 Te
```

## Properties
Calculated volume (Å³/atom): 26.22
Energy relative to the elements (eV/atom): -0.705
Crystal system: orthorhombic
M_tot (Bohr magnetons per cell): 0.0

***

Record 6
Below is a relaxed TmLuCu2 crystal, with properties calculated at the PBE level.

```
TmLuCu2
1.0
0.000 3.401 3.401
3.401 0.000 3.401
3.401 3.401 0.000
Tm Lu Cu
1 1 2
direct
0.000 0.000 0.000 Tm
0.500 0.500 0.500 Lu
0.250 0.250 0.250 Cu
0.750 0.750 0.750 Cu
```

## Properties
Calculated volume (Å³/atom): 19.67
Energy relative to the elements (eV/atom): -0.297
Crystal system: cubic

***

Record 7
Below is a relaxed Lu2ZnCu crystal, with properties calculated at the PBE level.

```
Lu2ZnCu
1.0
0.000 3.452 3.452
3.452 0.000 3.452
3.452 3.452 0.000
Lu Zn Cu
2 1 1
direct
0.250 0.250 0.250 Lu
0.750 0.750 0.750 Lu
0.000 0.000 0.000 Zn
0.500 0.500 0.500 Cu
```

## Properties
Calculated volume (Å³/atom): 20.56
Energy relative to the elements (eV/atom): -0.323
Crystal system: cubic

***

Record 8
Below is a relaxed Mg3Cu crystal, with properties calculated at the PBE level.

```
Mg3Cu
1.0
-1.623 4.879 2.411
1.623 -4.879 2.411
1.623 4.879 -2.411
Mg Cu
3 1
direct
0.000 0.000 0.000 Mg
0.308 0.525 0.783 Mg
0.743 0.525 0.217 Mg
0.481 0.981 0.500 Cu
```

## Properties
Calculated volume (Å³/atom): 19.09
Energy relative to the elements (eV/atom): -0.007
Crystal system: orthorhombic

***

Record 9
Below is a relaxed Mg4Cu crystal, with properties calculated at the PBE level.

```
Mg4Cu
1.0
0.000 4.954 4.954
4.954 0.000 4.954
4.954 4.954 0.000
Mg Cu
8 2
direct
0.197 0.768 0.768 Mg
0.232 0.232 0.232 Mg
0.232 0.232 0.803 Mg
0.232 0.803 0.232 Mg
0.768 0.197 0.768 Mg
0.768 0.768 0.197 Mg
0.768 0.768 0.768 Mg
0.803 0.232 0.232 Mg
0.375 0.375 0.375 Cu
0.625 0.625 0.625 Cu
```

## Properties
Calculated volume (Å³/atom): 24.32
Energy relative to the elements (eV/atom): 0.341
Crystal system: cubic
M_tot (Bohr magnetons per cell): 0.0

***

Record 10
Below is a relaxed Mg3Cu crystal, with properties calculated at the PBE level.

```
Mg3Cu
1.0
-1.637 4.841 2.404
1.637 -4.841 2.404
1.637 4.841 -2.404
Mg Cu
3 1
direct
0.000 0.000 0.000 Mg
0.285 0.502 0.782 Mg
0.720 0.502 0.218 Mg
0.498 0.998 0.500 Cu
```

## Properties
Calculated volume (Å³/atom): 19.05
Energy relative to the elements (eV/atom): -0.012
Crystal system: orthorhombic
M_tot (Bohr magnetons per cell): 0.0

***

Record 11
Below is a relaxed Mg5Cu crystal, with properties calculated at the PBE level.

```
Mg5Cu
1.0
5.313 0.000 0.000
-2.656 4.601 0.000
0.000 0.000 4.882
Mg Cu
5 1
direct
0.000 0.317 0.000 Mg
0.317 0.000 0.000 Mg
0.333 0.667 0.500 Mg
0.667 0.333 0.500 Mg
0.683 0.683 0.000 Mg
0.000 0.000 0.500 Cu
```

## Properties
Calculated volume (Å³/atom): 19.89
Energy relative to the elements (eV/atom): 0.019
Crystal system: hexagonal
M_tot (Bohr magnetons per cell): 0.0

***

Record 12
Below is a relaxed Mg2Cu crystal, with properties calculated at the PBE level.

```
Mg2Cu
1.0
-3.143 3.352 2.620
3.143 -3.352 2.620
3.143 3.352 -2.620
Mg Cu
4 2
direct
0.172 0.161 0.334 Mg
0.328 0.661 0.989 Mg
0.672 0.339 0.011 Mg
0.828 0.839 0.666 Mg
0.250 0.750 0.500 Cu
0.750 0.250 0.500 Cu
```

## Properties
Calculated volume (Å³/atom): 18.40
Energy relative to the elements (eV/atom): -0.101
Crystal system: orthorhombic
M_tot (Bohr magnetons per cell): 0.0

***

Record 13
Below is a relaxed MgCu crystal, with properties calculated at the PBE level.

```
MgCu
1.0
4.441 0.000 0.000
0.000 3.186 0.000
0.000 0.000 4.442
Mg Cu
2 2
direct
0.250 0.000 0.249 Mg
0.750 0.000 0.751 Mg
0.250 0.500 0.748 Cu
0.750 0.500 0.252 Cu
```

## Properties
Calculated volume (Å³/atom): 15.71
Energy relative to the elements (eV/atom): -0.093
Crystal system: orthorhombic
M_tot (Bohr magnetons per cell): 0.0

***

Record 14
Below is a relaxed Mg2Cu crystal, with properties calculated at the PBE level.

```
Mg2Cu
1.0
4.541 -2.626 0.000
4.541 2.626 0.000
-4.511 0.000 4.568
Mg Cu
4 2
direct
0.170 0.170 0.335 Mg
0.329 0.329 0.996 Mg
0.671 0.671 0.004 Mg
0.830 0.830 0.665 Mg
0.250 0.750 0.500 Cu
0.750 0.250 0.500 Cu
```

## Properties
Calculated volume (Å³/atom): 18.16
Energy relative to the elements (eV/atom): -0.103
Crystal system: monoclinic

***

Record 15
Below is a relaxed MgCu crystal, with properties calculated at the PBE level.

```
MgCu
1.0
4.437 0.000 0.000
0.000 3.159 0.000
0.000 0.000 4.461
Mg Cu
2 2
direct
0.250 0.000 0.236 Mg
0.750 0.000 0.764 Mg
0.250 0.500 0.723 Cu
0.750 0.500 0.277 Cu
```

## Properties
Calculated volume (Å³/atom): 15.63
Energy relative to the elements (eV/atom): -0.089
Crystal system: orthorhombic

***

Record 16
Below is a relaxed MgCu3 crystal, with properties calculated at the PBE level.

```
MgCu3
1.0
-1.866 1.866 3.821
1.866 -1.866 3.821
1.866 1.866 -3.821
Mg Cu
1 3
direct
0.000 0.000 0.000 Mg
0.250 0.750 0.500 Cu
0.500 0.500 0.000 Cu
0.750 0.250 0.500 Cu
```

## Properties
Calculated volume (Å³/atom): 13.30
Energy relative to the elements (eV/atom): -0.053
Crystal system: tetragonal

***

Record 17
Below is a relaxed Mg3Cu crystal, with properties calculated at the PBE level.

```
Mg3Cu
1.0
3.056 0.000 0.000
0.000 4.758 0.000
0.000 0.000 5.187
Mg Cu
3 1
direct
0.000 0.000 0.000 Mg
0.000 0.500 0.346 Mg
0.500 0.000 0.521 Mg
0.500 0.500 0.842 Cu
```

## Properties
Calculated volume (Å³/atom): 18.86
Energy relative to the elements (eV/atom): 0.040
Crystal system: orthorhombic
M_tot (Bohr magnetons per cell): 0.0

***

Record 18
Below is a relaxed Mg2Cu crystal, with properties calculated at the PBE level.

```
Mg2Cu
1.0
0.000 4.524 9.158
2.622 0.000 9.158
2.622 4.524 0.000
Mg Cu
8 4
direct
0.042 0.042 0.208 Mg
0.208 0.208 0.042 Mg
0.209 0.541 0.209 Mg
0.459 0.791 0.459 Mg
0.541 0.209 0.541 Mg
0.791 0.459 0.791 Mg
0.792 0.792 0.958 Mg
0.958 0.958 0.792 Mg
0.248 0.248 0.502 Cu
0.498 0.498 0.752 Cu
0.502 0.502 0.248 Cu
0.752 0.752 0.498 Cu
```

## Properties
Calculated volume (Å³/atom): 18.10
Energy relative to the elements (eV/atom): -0.119
Crystal system: orthorhombic

***

Record 19
Below is a relaxed Mg14MnCu crystal, with properties calculated at the PBE level.

```
Mg14MnCu
1.0
6.259 0.000 0.000
-3.130 5.421 0.000
0.000 0.000 9.941
Mg Mn Cu
14 1 1
direct
0.000 0.000 0.250 Mg
0.000 0.000 0.750 Mg
0.011 0.505 0.248 Mg
0.011 0.505 0.752 Mg
0.332 0.166 0.000 Mg
0.335 0.168 0.500 Mg
0.495 0.505 0.248 Mg
0.495 0.505 0.752 Mg
0.495 0.989 0.248 Mg
0.495 0.989 0.752 Mg
0.832 0.168 0.500 Mg
0.832 0.665 0.500 Mg
0.834 0.166 0.000 Mg
0.834 0.668 0.000 Mg
0.333 0.667 0.500 Mn
0.333 0.667 0.000 Cu
```

## Properties
Calculated volume (Å³/atom): 21.08
Energy relative to the elements (eV/atom): 0.067
Crystal system: hexagonal
M_tot (Bohr magnetons per cell): 4.0

***

Record 20
Below is a relaxed Mg6MnCu crystal, with properties calculated at the PBE level.

```
Mg6MnCu
1.0
-3.377 -3.449 -0.354
4.039 -3.657 -2.893
3.077 -3.967 9.310
Mg Mn Cu
12 2 2
direct
0.500 0.248 0.583 Mg
0.500 0.748 0.083 Mg
0.000 0.752 0.412 Mg
0.500 0.252 0.083 Mg
0.000 0.748 0.912 Mg
0.000 0.248 0.412 Mg
0.000 0.500 0.672 Mg
0.000 0.500 0.171 Mg
0.000 0.252 0.912 Mg
0.000 0.000 0.172 Mg
0.500 0.752 0.583 Mg
0.000 0.000 0.671 Mg
0.500 0.500 0.333 Mn
0.500 0.000 0.833 Mn
0.500 0.500 0.834 Cu
0.500 0.000 0.334 Cu
```

## Properties
Energy relative to the lowest polymorph listed for this composition (eV/f.u.): 0.02
Calculated volume (Å³/atom): 19.74
Energy relative to the elements (eV/atom): 0.120
M_tot (Bohr magnetons per cell): 7.7

***

Record 21
Below is a relaxed Mg6MnCu crystal, with properties calculated at the PBE level.

```
Mg6MnCu
1.0
-3.059 -0.347 -3.758
-2.421 -5.011 2.433
-7.025 5.905 5.173
Mg Mn Cu
12 2 2
direct
0.500 0.258 0.411 Mg
0.000 0.500 0.834 Mg
0.000 0.739 0.088 Mg
0.500 0.742 0.411 Mg
0.500 0.758 0.911 Mg
0.000 0.000 0.334 Mg
0.500 0.500 0.667 Mg
0.000 0.261 0.088 Mg
0.500 0.000 0.167 Mg
0.500 0.242 0.911 Mg
0.000 0.239 0.588 Mg
0.000 0.761 0.588 Mg
0.000 0.000 0.827 Mn
0.000 0.500 0.327 Mn
0.500 0.500 0.174 Cu
0.500 0.000 0.674 Cu
```

## Properties
Energy relative to the lowest polymorph listed for this composition (eV/f.u.): 0.00
Calculated volume (Å³/atom): 19.43
Energy relative to the elements (eV/atom): 0.118
M_tot (Bohr magnetons per cell): 7.6

***

Record 22
Below is a relaxed Mg14MnCu crystal, with properties calculated at the PBE level.

```
Mg14MnCu
1.0
9.920 0.000 0.000
0.000 3.129 5.421
0.000 -3.129 5.421
Mg Mn Cu
14 1 1
direct
0.000 0.000 0.000 Mg
0.000 0.002 0.501 Mg
0.000 0.499 0.499 Mg
0.000 0.501 0.002 Mg
0.253 0.665 0.665 Mg
0.257 0.164 0.164 Mg
0.265 0.171 0.672 Mg
0.265 0.672 0.171 Mg
0.500 0.503 0.995 Mg
0.500 0.995 0.503 Mg
0.735 0.171 0.672 Mg
0.735 0.672 0.171 Mg
0.743 0.164 0.164 Mg
0.747 0.665 0.665 Mg
0.500 0.504 0.504 Mn
0.500 0.000 0.000 Cu
```

## Properties
Calculated volume (Å³/atom): 21.03
Energy relative to the elements (eV/atom): 0.067
Crystal system: orthorhombic
M_tot (Bohr magnetons per cell): 3.9

***

Record 23
Below is a relaxed MgMnCu2SnS4 crystal, with properties calculated at the PBE level.

```
MgMnCu2SnS4
1.0
-2.908 3.150 5.091
2.908 -3.150 5.091
2.908 3.150 -5.091
Mg Mn Cu Sn S
1 1 2 1 4
direct
0.000 0.000 0.000 Mg
0.000 0.500 0.500 Mn
0.270 0.270 0.000 Cu
0.730 0.730 0.000 Cu
0.500 0.000 0.500 Sn
0.063 0.121 0.472 S
0.351 0.879 0.941 S
0.649 0.590 0.528 S
0.937 0.410 0.059 S
```

## Properties
Energy relative to the lowest polymorph listed for this composition (eV/f.u.): 0.37
Calculated volume (Å³/atom): 20.73
Energy relative to the elements (eV/atom): -0.608
Crystal system: orthorhombic
M_tot (Bohr magnetons per cell): 5.0